Record 1
Crystalline BaCu2As2 at its relaxed geometry, computed with GGA-PBE.

```
BaCu2As2
1.0
-0.233 -6.294 1.378
-5.226 -3.673 -0.874
3.658 4.333 -3.069
Ba Cu As
1 2 2
Direct
0.000 0.000 0.000
0.250 0.750 0.500
0.750 0.250 0.500
0.639 0.639 0.000
0.361 0.361 0.000
```

## Properties
Space group: I4/mmm, No. 139
Raw total energy in eV/f.u.: -22.0
ρ in Mg/m³: 6.6

=====

Record 2
Crystalline BaCu8As4 at its relaxed geometry, computed with GGA-PBE.

```
BaCu8As4
1.0
-5.260 5.260 1.979
5.260 -5.260 1.979
5.260 5.260 -1.979
Ba Cu As
1 8 4
Direct
0.000 0.000 0.000
0.018 0.626 0.644
0.672 0.214 0.886
0.214 0.328 0.543
0.786 0.672 0.457
0.328 0.786 0.114
0.982 0.374 0.356
0.374 0.018 0.392
0.626 0.982 0.608
0.757 0.429 0.186
0.429 0.243 0.672
0.571 0.757 0.328
0.243 0.571 0.814
```

## Properties
Space group: I4/m, No. 87
Raw total energy in eV/f.u.: -56.2
ρ in Mg/m³: 7.2

=====

Record 3
Crystalline BaCuAs at its relaxed geometry, computed with GGA-PBE.

```
BaCuAs
1.0
-2.188 -3.791 0.000
-2.188 3.791 0.000
0.000 0.000 -9.277
Ba Cu As
2 2 2
Direct
0.000 0.000 0.500
0.000 0.000 0.000
0.667 0.333 0.750
0.333 0.667 0.250
0.333 0.667 0.750
0.667 0.333 0.250
```

## Properties
Space group: P6_3/mmc, No. 194
Raw total energy in eV/f.u.: -12.9
ρ in Mg/m³: 6.0